# NaSb

A relaxed structure of NaSb (r2SCAN, the Materials Project database).

Lattice parameters (Å, degrees): 6.342 6.785 11.140 95.55 90.00 90.00
Fractional positions:
Sb: 0.095 0.010 0.702
Sb: 0.595 0.490 0.798
Sb: 0.405 0.510 0.202
Sb: 0.163 0.814 0.105
Sb: 0.905 0.990 0.298
Sb: 0.837 0.186 0.895
Sb: 0.337 0.314 0.605
Sb: 0.663 0.686 0.395
Na: 0.336 0.190 0.958
Na: 0.836 0.310 0.542
Na: 0.097 0.597 0.827
Na: 0.664 0.810 0.042
Na: 0.597 0.903 0.673
Na: 0.164 0.690 0.458
Na: 0.403 0.097 0.327
Na: 0.903 0.403 0.173

Computed properties:
Energy of formation from the pure elements in eV per atom: -0.449
Calculated total energy in eV/atom: -15.084


# Tm2ZnPd

A relaxed structure of Tm2ZnPd (r2SCAN, the Materials Project database).

Lattice parameters (Å, degrees): 4.899 4.899 4.899 60.00 60.00 60.00
Fractional positions:
Tm: 0.250 0.250 0.250
Tm: 0.750 0.750 0.750
Pd: 0.500 0.500 0.500
Zn: 0.000 0.000 0.000

Computed properties:
Energy of formation from the pure elements in eV per atom: -0.682
Calculated total energy in eV/atom: -26.210


# Al8V5

A relaxed structure of Al8V5 (r2SCAN, the Materials Project database).

Lattice parameters (Å, degrees): 7.936 7.936 7.875 71.17 71.17 110.11
Fractional positions:
Al: 0.646 0.646 0.999
Al: 0.614 0.259 0.734
Al: 0.643 0.381 0.350
Al: 0.259 0.614 0.734
Al: 0.648 0.002 0.354
Al: 0.357 0.007 0.264
Al: 0.350 0.757 0.987
Al: 0.355 0.355 0.999
Al: 0.654 0.654 0.602
Al: 0.757 0.350 0.987
Al: 0.381 0.643 0.350
Al: 0.007 0.739 0.647
Al: 0.249 0.249 0.409
Al: 0.739 0.007 0.647
Al: 0.007 0.357 0.264
Al: 0.002 0.648 0.354
V: 0.002 0.002 0.333
V: 0.345 0.004 0.646
V: 0.003 0.203 0.003
V: 0.661 0.992 0.006
V: 0.790 0.790 0.208
V: 0.994 0.994 0.802
V: 0.341 0.341 0.665
V: 0.992 0.661 0.006
V: 0.004 0.345 0.646
V: 0.203 0.003 0.003

Computed properties:
Energy of formation from the pure elements in eV per atom: -0.250
Calculated total energy in eV/atom: -9.812


# Ba3In2O6

A relaxed structure of Ba3In2O6 (r2SCAN, the Materials Project database).

Lattice parameters (Å, degrees): 11.317 11.317 11.317 158.54 158.54 30.54
Fractional positions:
O: 0.802 0.802 0.000
O: 0.198 0.198 0.000
O: 0.584 0.084 0.500
O: 0.084 0.584 0.500
O: 0.916 0.416 0.500
O: 0.416 0.916 0.500
Ba: 0.317 0.317 0.000
Ba: 0.500 0.500 0.000
Ba: 0.683 0.683 0.000
In: 0.102 0.102 0.000
In: 0.898 0.898 0.000

Computed properties:
Energy of formation from the pure elements in eV per atom: -2.373
Calculated total energy in eV/atom: -16.963


# Li2GdTl

A relaxed structure of Li2GdTl (r2SCAN, the Materials Project database).

Lattice parameters (Å, degrees): 4.843 4.844 4.843 60.02 60.01 60.01
Fractional positions:
Li: 0.000 0.000 0.000
Li: 0.500 0.500 0.500
Gd: 0.250 0.250 0.250
Tl: 0.750 0.750 0.750

Computed properties:
Energy of formation from the pure elements in eV per atom: -0.288
Calculated total energy in eV/atom: -25.625


# YLuIr2

A relaxed structure of YLuIr2 (r2SCAN, the Materials Project database).

Lattice parameters (Å, degrees): 4.772 4.772 4.772 60.00 60.00 60.00
Fractional positions:
Ir: 0.750 0.750 0.750
Ir: 0.250 0.250 0.250
Y: 0.000 0.000 0.000
Lu: 0.500 0.500 0.500

Computed properties:
Energy of formation from the pure elements in eV per atom: -0.992
Calculated total energy in eV/atom: -41.770


# CeOs2

A relaxed structure of CeOs2 (r2SCAN, the Materials Project database).

Lattice parameters (Å, degrees): 5.377 5.377 5.377 60.00 60.00 60.00
Fractional positions:
Ce: 0.125 0.125 0.125
Ce: 0.875 0.875 0.875
Os: 0.000 0.500 0.500
Os: 0.500 0.000 0.500
Os: 0.500 0.500 0.000
Os: 0.500 0.500 0.500

Computed properties:
Energy of formation from the pure elements in eV per atom: -0.259
Calculated total energy in eV/atom: -45.863


# MoS2

A relaxed structure of MoS2 (r2SCAN, the Materials Project database).

Lattice parameters (Å, degrees): 3.184 3.184 28.387 90.00 90.00 120.00
Fractional positions:
S: 0.333 0.667 0.291
S: 0.333 0.667 0.400
S: 0.667 0.333 0.172
S: 0.667 0.333 0.062
S: 0.667 0.333 0.628
S: 0.667 0.333 0.519
Mo: 0.333 0.667 0.117
Mo: 0.667 0.333 0.345
Mo: 0.333 0.667 0.573

Computed properties:
Energy of formation from the pure elements in eV per atom: -0.962
Calculated total energy in eV/atom: -15.008


# Tb3Ge13Os4

A relaxed structure of Tb3Ge13Os4 (r2SCAN, the Materials Project database).

Lattice parameters (Å, degrees): 9.030 9.030 9.030 90.00 90.00 90.00
Fractional positions:
Tb: 0.000 0.500 0.750
Tb: 0.500 0.250 0.000
Tb: 0.500 0.750 0.000
Tb: 0.750 0.000 0.500
Tb: 0.000 0.500 0.250
Tb: 0.250 0.000 0.500
Ge: 0.500 0.205 0.644
Ge: 0.295 0.000 0.856
Ge: 0.000 0.144 0.295
Ge: 0.500 0.500 0.500
Ge: 0.500 0.795 0.356
Ge: 0.356 0.500 0.205
Ge: 0.500 0.205 0.356
Ge: 0.856 0.295 0.000
Ge: 0.856 0.705 0.000
Ge: 0.144 0.295 0.000
Ge: 0.000 0.144 0.705
Ge: 0.205 0.356 0.500
Ge: 0.000 0.000 0.000
Ge: 0.644 0.500 0.205
Ge: 0.705 0.000 0.144
Ge: 0.795 0.644 0.500
Ge: 0.000 0.856 0.295
Ge: 0.500 0.795 0.644
Ge: 0.705 0.000 0.856
Ge: 0.000 0.856 0.705
Ge: 0.795 0.356 0.500
Ge: 0.205 0.644 0.500
Ge: 0.295 0.000 0.144
Ge: 0.644 0.500 0.795
Ge: 0.356 0.500 0.795
Ge: 0.144 0.705 0.000
Os: 0.250 0.250 0.750
Os: 0.750 0.250 0.750
Os: 0.750 0.750 0.250
Os: 0.250 0.750 0.750
Os: 0.250 0.750 0.250
Os: 0.750 0.750 0.750
Os: 0.750 0.250 0.250
Os: 0.250 0.250 0.250

Computed properties:
Energy of formation from the pure elements in eV per atom: -0.356
Calculated total energy in eV/atom: -24.654


# Ba2TiS4

A relaxed structure of Ba2TiS4 (r2SCAN, the Materials Project database).

Lattice parameters (Å, degrees): 6.898 9.136 12.513 90.00 90.00 90.00
Fractional positions:
S: 0.250 0.808 0.903
S: 0.508 0.331 0.350
S: 0.250 0.482 0.091
S: 0.992 0.831 0.150
S: 0.250 0.982 0.409
S: 0.750 0.192 0.097
S: 0.492 0.669 0.650
S: 0.492 0.169 0.850
S: 0.750 0.692 0.403
S: 0.992 0.331 0.350
S: 0.750 0.518 0.909
S: 0.008 0.669 0.650
S: 0.250 0.308 0.597
S: 0.508 0.831 0.150
S: 0.750 0.018 0.591
S: 0.008 0.169 0.850
Ba: 0.250 0.632 0.421
Ba: 0.250 0.977 0.674
Ba: 0.750 0.023 0.326
Ba: 0.250 0.477 0.826
Ba: 0.250 0.132 0.079
Ba: 0.750 0.523 0.174
Ba: 0.750 0.868 0.921
Ba: 0.750 0.368 0.579
Ti: 0.750 0.773 0.574
Ti: 0.250 0.227 0.426
Ti: 0.250 0.727 0.074
Ti: 0.750 0.273 0.926

Computed properties:
Energy of formation from the pure elements in eV per atom: -2.060
Calculated total energy in eV/atom: -16.070


# Dy3P6Pd20

A relaxed structure of Dy3P6Pd20 (r2SCAN, the Materials Project database).

Lattice parameters (Å, degrees): 8.617 8.617 8.617 60.00 60.00 60.00
Fractional positions:
P: 0.263 0.263 0.737
P: 0.737 0.263 0.263
P: 0.737 0.263 0.737
P: 0.263 0.737 0.263
P: 0.263 0.737 0.737
P: 0.737 0.737 0.263
Pd: 0.000 0.345 0.655
Pd: 0.384 0.384 0.384
Pd: 0.345 0.000 0.000
Pd: 0.000 0.000 0.345
Pd: 0.000 0.655 0.000
Pd: 0.384 0.847 0.384
Pd: 0.655 0.345 0.000
Pd: 0.000 0.655 0.345
Pd: 0.345 0.000 0.655
Pd: 0.655 0.000 0.345
Pd: 0.000 0.345 0.000
Pd: 0.847 0.384 0.384
Pd: 0.153 0.616 0.616
Pd: 0.655 0.000 0.000
Pd: 0.384 0.384 0.847
Pd: 0.000 0.000 0.655
Pd: 0.616 0.616 0.153
Pd: 0.345 0.655 0.000
Pd: 0.616 0.153 0.616
Pd: 0.616 0.616 0.616
Dy: 0.250 0.250 0.250
Dy: 0.750 0.750 0.750
Dy: 0.000 0.000 0.000

Computed properties:
Energy of formation from the pure elements in eV per atom: -0.763
Calculated total energy in eV/atom: -21.769


# LiBeH3

A relaxed structure of LiBeH3 (r2SCAN, the Materials Project database).

Lattice parameters (Å, degrees): 6.158 6.029 13.185 82.39 90.00 90.00
Fractional positions:
Be: 0.117 0.437 0.686
Be: 0.593 0.770 0.413
Be: 0.617 0.563 0.814
Be: 0.665 0.224 0.091
Be: 0.093 0.230 0.087
Be: 0.835 0.224 0.591
Be: 0.407 0.230 0.587
Be: 0.883 0.563 0.314
Be: 0.383 0.437 0.186
Be: 0.335 0.776 0.909
Be: 0.907 0.770 0.913
Be: 0.165 0.776 0.409
H: 0.117 0.292 0.781
H: 0.377 0.225 0.482
H: 0.880 0.027 0.659
H: 0.380 0.973 0.841
H: 0.869 0.197 0.489
H: 0.196 0.423 0.120
H: 0.380 0.710 0.384
H: 0.144 0.028 0.151
H: 0.120 0.710 0.884
H: 0.696 0.577 0.380
H: 0.436 0.576 0.882
H: 0.381 0.671 0.194
H: 0.564 0.424 0.118
H: 0.064 0.576 0.382
H: 0.856 0.972 0.849
H: 0.620 0.027 0.159
H: 0.881 0.329 0.306
H: 0.883 0.708 0.219
H: 0.877 0.775 0.018
H: 0.304 0.423 0.620
H: 0.119 0.671 0.694
H: 0.880 0.290 0.116
H: 0.623 0.775 0.518
H: 0.644 0.972 0.349
H: 0.804 0.577 0.880
H: 0.619 0.329 0.806
H: 0.617 0.708 0.719
H: 0.383 0.292 0.281
H: 0.123 0.225 0.982
H: 0.936 0.424 0.618
H: 0.631 0.197 0.989
H: 0.356 0.028 0.651
H: 0.369 0.803 0.011
H: 0.620 0.290 0.616
H: 0.131 0.803 0.511
H: 0.120 0.973 0.341
Li: 0.880 0.012 0.248
Li: 0.380 0.988 0.252
Li: 0.128 0.747 0.102
Li: 0.872 0.253 0.898
Li: 0.620 0.012 0.748
Li: 0.118 0.239 0.406
Li: 0.628 0.253 0.398
Li: 0.120 0.988 0.752
Li: 0.618 0.761 0.094
Li: 0.882 0.761 0.594
Li: 0.372 0.747 0.602
Li: 0.382 0.239 0.906

Computed properties:
Energy of formation from the pure elements in eV per atom: -0.287
Energy above the most stable polymorph in this dataset in kJ/mol of formula units: 0
Calculated total energy in eV/atom: -3.705


Total moment for the records above, in order: 0.0 0.0 0.0 0.0 7.1 0.2 0.0 0.0 0.0 0.0 0.0 0.0 μB/f.u.